No. 1
Here is an optimized crystal structure of Ba2MgZrTiO6 from the Materials Project database. Energies are from PBE.

Geometry as extended XYZ:
```
11
Lattice="-0.9454 0.2687 5.8389 -0.5142 -4.9890 3.1502 5.0164 -1.5834 3.8789" Properties=species:S:1:pos:R:3 pbc="T T T"
O -0.0252 -3.9446 7.6955
O 2.8280 -2.2500 8.0334
O 3.0487 -4.8245 6.7191
O 3.3006 -2.3810 5.1762
O 0.2345 -1.4253 6.1047
O 0.4580 -4.0797 4.7489
Ba 1.7754 -1.5742 3.3644
Ba 2.7850 -4.7244 9.6753
Mg 3.9863 -3.1508 6.7959
Ti -1.3691 -4.7194 9.0051
Zr 1.3035 -3.1487 6.3613
```

Results
Formation energy in meV per atom: -2844
Final energy in eV per atom: -7.16
Energy relative to the lowest polymorph listed for this composition in eV/atom: 0.2335

No. 2
Here is an optimized crystal structure of Ba2MgZrTiO6 from the Materials Project database. Energies are from PBE.

Geometry as extended XYZ:
```
11
Lattice="-0.3277 -0.3281 6.2892 4.4159 -2.6037 3.6728 3.4925 3.6161 3.1869" Properties=species:S:1:pos:R:3 pbc="T T T"
Ba 1.9288 -0.2003 3.6713
Ba 5.6519 0.8846 9.4776
O 5.9021 0.6260 6.6630
O 4.1901 -1.1465 5.1007
O 3.6503 1.8830 4.9803
O 3.9304 -1.1987 8.1686
O 3.3906 1.8308 8.0482
O 1.6786 0.0582 6.4859
Ti 0.0000 0.0000 0.0000
Mg 1.7462 1.8080 1.5935
Zr 3.7903 0.3421 6.5745
```

Results
Formation energy in meV per atom: -2875
Final energy in eV per atom: -7.19
Energy relative to the lowest polymorph listed for this composition in eV/atom: 0.2030

No. 3
Here is an optimized crystal structure of BaMg6ZnO8 from the Materials Project database. Energies are from PBE.

Geometry as extended XYZ:
```
16
Lattice="-3.3208 -4.7102 -6.7094 3.7769 -2.7266 0.0448 -2.0921 -2.8482 3.0351" Properties=species:S:1:pos:R:3 pbc="T T T"
Mg 1.0087 -2.6111 -1.7550
Mg -1.9258 -2.6719 -0.2598
Mg -0.5527 -4.8257 -4.9096
Mg -1.6604 -2.3551 -3.3547
Mg -0.8180 -5.1425 -1.8148
Mg -3.4872 -4.8865 -3.4145
Zn 0.0000 0.0000 0.0000
O -0.8449 -1.1984 -1.7071
O 1.8884 -1.3633 0.0224
O -1.0461 -1.4241 1.5175
O -1.5402 -6.1668 -3.2738
O -2.7065 -3.7792 -1.8372
O -2.4759 -3.5118 -5.0023
O 0.2280 -3.7184 -3.3323
O -0.0959 -4.1182 -0.3558
Ba 0.8424 -2.7874 1.5399
```

Results
Formation energy in meV per atom: -2492
Final energy in eV per atom: -5.42
Energy relative to the lowest polymorph listed for this composition in eV/atom: 0.0052

No. 4
Here is an optimized crystal structure of BaMg6ZnO8 from the Materials Project database. Energies are from PBE.

Geometry as extended XYZ:
```
16
Lattice="8.7373 0.0000 0.0000 0.0000 4.7064 0.0000 0.0000 0.0000 4.7064" Properties=species:S:1:pos:R:3 pbc="T T T"
Mg 0.0000 2.3532 2.3532
Mg 2.0393 2.3532 0.0000
Mg 4.3687 2.3532 2.3532
Mg 2.0393 0.0000 2.3532
Mg 6.6980 2.3532 0.0000
Mg 6.6980 0.0000 2.3532
O 0.0000 2.3532 0.0000
O 0.0000 0.0000 2.3532
O 4.3687 0.0000 2.3532
O 6.8367 0.0000 0.0000
O 4.3687 2.3532 0.0000
O 6.5703 2.3532 2.3532
O 2.1670 2.3532 2.3532
O 1.9006 0.0000 0.0000
Ba 4.3687 0.0000 0.0000
Zn 0.0000 0.0000 0.0000
```

Results
Formation energy in meV per atom: -2497
Final energy in eV per atom: -5.43
Energy relative to the lowest polymorph listed for this composition in eV/atom: 0.0000

No. 5
Here is an optimized crystal structure of BaMgPb from the Materials Project database. Energies are from PBE.

Geometry as extended XYZ:
```
6
Lattice="5.0884 0.0000 0.0000 0.0000 5.0884 0.0000 0.0000 0.0000 8.5332" Properties=species:S:1:pos:R:3 pbc="T T T"
Ba 2.5442 2.5442 0.0000
Ba 0.0000 0.0000 0.0000
Mg 0.0000 2.5442 2.9958
Mg 2.5442 0.0000 5.5374
Pb 2.5442 0.0000 2.6069
Pb 0.0000 2.5442 5.9263
```

Results
Formation energy in meV per atom: -7
Final energy in eV per atom: -2.42

No. 6
Here is an optimized crystal structure of BaMg2Pb2 from the Materials Project database. Energies are from PBE.

Geometry as extended XYZ:
```
10
Lattice="5.0303 0.0000 0.0000 0.0000 5.0303 0.0000 0.0000 0.0000 12.4379" Properties=species:S:1:pos:R:3 pbc="T T T"
Pb 2.5151 2.5151 6.2190
Pb 0.0000 0.0000 6.2190
Pb 2.5151 0.0000 10.7629
Pb 0.0000 2.5151 1.6750
Mg 2.5151 0.0000 7.9073
Mg 2.5151 2.5151 0.0000
Mg 0.0000 0.0000 0.0000
Mg 0.0000 2.5151 4.5306
Ba 2.5151 0.0000 3.1441
Ba 0.0000 2.5151 9.2938
```

Results
Formation energy in meV per atom: -376
Final energy in eV per atom: -2.88

No. 7
Here is an optimized crystal structure of RbBaMg14 from the Materials Project database. Energies are from PBE.

Geometry as extended XYZ:
```
16
Lattice="6.9943 0.0000 0.0000 -3.4972 6.0573 0.0000 0.0000 0.0000 10.5417" Properties=species:S:1:pos:R:3 pbc="T T T"
Mg 1.7178 5.0655 1.3177
Mg 3.4972 1.9415 6.5885
Mg 5.0728 0.9097 9.2151
Mg 3.4972 1.9835 1.3177
Mg 5.0728 0.9097 3.9620
Mg -1.6814 5.0865 6.5885
Mg 1.6814 5.0865 6.5885
Mg 1.9215 0.9097 3.9620
Mg 3.4972 4.0382 3.9625
Mg -1.7178 5.0655 1.3177
Mg 3.4972 4.0382 9.2145
Mg 0.0000 4.2379 9.2151
Mg 1.9215 0.9097 9.2151
Mg 0.0000 4.2379 3.9620
Rb 0.0000 2.0191 1.3177
Ba 0.0000 2.0191 6.5885
```

Results
Formation energy in meV per atom: 161
Final energy in eV per atom: -1.42

No. 8
Here is an optimized crystal structure of RbBaMg14 from the Materials Project database. Energies are from PBE.

Geometry as extended XYZ:
```
16
Lattice="6.7847 0.0789 0.0000 -3.3240 5.7574 0.0000 0.0000 0.0000 11.0094" Properties=species:S:1:pos:R:3 pbc="T T T"
Rb 0.0386 1.9414 1.3762
Ba -1.6173 4.8236 1.3762
Mg 5.0296 0.9847 9.5100
Mg 1.7701 1.0193 4.4238
Mg 3.4061 1.9936 1.3762
Mg 3.3734 3.8668 4.2473
Mg 1.7675 4.8316 1.3762
Mg 3.3734 3.8668 9.5145
Mg 0.0013 1.9199 6.8809
Mg -1.6600 4.7990 6.8809
Mg 5.0296 0.9847 4.2518
Mg 1.7617 4.8628 6.8809
Mg 0.1058 3.9020 4.4238
Mg 3.4302 1.9729 6.8809
Mg 0.1058 3.9020 9.3380
Mg 1.7701 1.0193 9.3380
```

Results
Formation energy in meV per atom: 161
Final energy in eV per atom: -1.42